Record 1
12
Lattice="4.105 0.000 0.000 0.000 17.513 0.000 -4.101 0.000 4.125" Properties=species:S:1:pos:R:3 comment="GdSbS (PBE-GGA, optimized geometry)" final_energy_ev_per_atom=-8.8548 formation_energy_ev_per_atom=-1.575 total_magnetization_mub_per_cell=28.00 pbc="T T T"
Gd -1.032 2.706 1.148
Gd -3.083 6.050 3.211
Gd 3.087 11.463 0.914
Gd 1.037 14.806 2.977
Sb -1.029 8.769 3.070
Sb 1.021 17.500 1.007
Sb -1.017 0.012 3.118
Sb 1.033 8.744 1.055
S -3.075 3.263 3.221
S -1.025 5.493 1.158
S 1.029 12.020 2.967
S 3.079 14.249 0.904

---

Record 2
16
Lattice="7.547 0.000 0.000 0.000 7.547 0.000 0.000 0.000 7.547" Properties=species:S:1:pos:R:3 comment="TbSmHg2 (PBE-GGA, optimized geometry)" final_energy_ev_per_atom=-2.9609 formation_energy_ev_per_atom=-0.471 pbc="T T T"
Tb 0.000 0.000 0.000
Tb 0.000 3.773 3.773
Tb 3.773 0.000 3.773
Tb 3.773 3.773 0.000
Sm 0.000 0.000 3.773
Sm 0.000 3.773 0.000
Sm 3.773 0.000 0.000
Sm 3.773 3.773 3.773
Hg 1.887 1.887 1.887
Hg 1.887 1.887 5.660
Hg 1.887 5.660 1.887
Hg 1.887 5.660 5.660
Hg 5.660 1.887 1.887
Hg 5.660 1.887 5.660
Hg 5.660 5.660 1.887
Hg 5.660 5.660 5.660

---

Record 3
16
Lattice="5.255 -4.157 0.000 5.255 4.157 0.000 0.000 0.000 10.872" Properties=species:S:1:pos:R:3 comment="Ca3Tl5 (PBE-GGA, optimized geometry)" final_energy_ev_per_atom=-2.5653 formation_energy_ev_per_atom=-0.337 pbc="T T T"
Ca 5.255 3.445 8.154
Ca 3.008 0.000 0.000
Ca 3.008 0.000 5.436
Ca 7.502 0.000 0.000
Ca 7.502 0.000 5.436
Ca 5.255 -3.445 2.718
Tl 3.013 2.235 2.718
Tl 5.255 2.461 0.380
Tl 5.255 2.461 5.056
Tl 7.498 2.235 2.718
Tl 5.255 0.213 8.154
Tl 5.255 -0.213 2.718
Tl 3.013 -2.235 8.154
Tl 5.255 -2.461 5.816
Tl 5.255 -2.461 10.492
Tl 7.498 -2.235 8.154

---

Record 4
11
Lattice="2.732 -2.713 0.000 2.732 2.713 0.000 -1.863 0.000 9.654" Properties=species:S:1:pos:R:3 comment="Li2Ag3F6 (PBE-GGA, optimized geometry)" final_energy_ev_per_atom=-3.8348 formation_energy_ev_per_atom=-1.923 total_magnetization_mub_per_cell=1.00 pbc="T T T"
Li 0.372 0.000 1.913
Li 3.227 0.000 7.741
Ag 0.478 0.000 6.118
Ag 2.732 0.000 0.000
Ag 3.122 0.000 3.536
F 1.807 1.323 1.456
F 0.346 0.000 3.791
F 1.793 1.323 8.198
F 1.807 -1.323 1.456
F 3.253 0.000 5.863
F 1.793 -1.323 8.198

---

Record 5
12
Lattice="3.410 0.000 0.000 -1.705 2.953 0.000 0.000 0.000 16.688" Properties=species:S:1:pos:R:3 comment="NaHoO2 (PBE-GGA, optimized geometry)" final_energy_ev_per_atom=-6.7753 formation_energy_ev_per_atom=-3.169 pbc="T T T"
Na 0.000 0.000 0.000
Na 0.000 1.969 11.126
Na 1.705 0.984 5.563
Ho 0.000 0.000 8.344
Ho 0.000 1.969 2.781
Ho 1.705 0.984 13.907
O 0.000 0.000 3.953
O 0.000 0.000 12.736
O 0.000 1.969 7.173
O 0.000 1.969 15.079
O 1.705 0.984 1.610
O 1.705 0.984 9.516

---

Record 6
8
Lattice="4.059 0.000 0.000 0.000 4.059 0.000 0.000 0.000 4.059" Properties=species:S:1:pos:R:3 comment="HRh (PBE-GGA, optimized geometry)" final_energy_ev_per_atom=-5.3197 formation_energy_ev_per_atom=0.059 pbc="T T T"
H 0.000 0.000 0.000
H 0.000 2.029 2.029
H 2.029 0.000 2.029
H 2.029 2.029 0.000
Rh 0.000 0.000 2.029
Rh 0.000 2.029 0.000
Rh 2.029 0.000 0.000
Rh 2.029 2.029 2.029

---

Record 7
20
Lattice="9.956 0.000 0.000 -4.978 8.622 0.000 0.000 0.000 6.396" Properties=species:S:1:pos:R:3 comment="Pr7Ni3 (PBE-GGA, optimized geometry)" final_energy_ev_per_atom=-5.2621 formation_energy_ev_per_atom=-0.181 total_magnetization_mub_per_cell=0.00 pbc="T T T"
Pr -1.904 4.649 0.000
Pr 0.000 2.161 2.012
Pr -3.106 7.541 2.012
Pr 1.872 1.081 5.210
Pr 0.000 5.748 3.379
Pr 1.904 4.649 0.000
Pr 0.000 7.947 0.000
Pr 4.978 0.675 3.198
Pr 3.074 3.973 3.198
Pr 4.978 2.874 0.181
Pr 3.106 7.541 2.012
Pr 8.084 1.081 5.210
Pr 4.978 6.461 5.210
Pr 6.882 3.973 3.198
Ni 0.000 3.246 4.824
Ni -2.167 6.999 4.824
Ni 2.811 1.623 1.626
Ni 2.167 6.999 4.824
Ni 7.145 1.623 1.626
Ni 4.978 5.377 1.626

---

Record 8
16
Lattice="6.936 0.000 0.000 0.000 6.936 0.000 0.000 0.000 6.936" Properties=species:S:1:pos:R:3 comment="Li2TlSn (PBE-GGA, optimized geometry)" final_energy_ev_per_atom=-2.8302 formation_energy_ev_per_atom=-0.283 pbc="T T T"
Li 1.734 1.734 1.734
Li 1.734 1.734 5.202
Li 1.734 5.202 1.734
Li 1.734 5.202 5.202
Li 5.202 1.734 1.734
Li 5.202 1.734 5.202
Li 5.202 5.202 1.734
Li 5.202 5.202 5.202
Tl 0.000 0.000 0.000
Tl 0.000 3.468 3.468
Tl 3.468 0.000 3.468
Tl 3.468 3.468 0.000
Sn 0.000 0.000 3.468
Sn 0.000 3.468 0.000
Sn 3.468 0.000 0.000
Sn 3.468 3.468 3.468

---

Record 9
12
Lattice="4.633 0.000 0.000 0.000 4.633 0.000 0.000 0.000 4.633" Properties=species:S:1:pos:R:3 comment="LiO2 (PBE-GGA, optimized geometry)" e_above_lowest_polymorph_ev_per_fu=1.81 final_energy_ev_per_atom=-3.9169 formation_energy_ev_per_atom=-0.440 total_magnetization_mub_per_cell=4.31 pbc="T T T"
Li 0.000 0.000 0.000
Li 0.000 2.317 2.317
Li 2.317 0.000 2.317
Li 2.317 2.317 0.000
O 1.158 1.158 1.158
O 1.158 1.158 3.475
O 1.158 3.475 1.158
O 1.158 3.475 3.475
O 3.475 1.158 1.158
O 3.475 1.158 3.475
O 3.475 3.475 1.158
O 3.475 3.475 3.475

---

Record 10
52
Lattice="6.657 0.000 0.000 0.000 8.684 0.000 -0.413 0.000 12.264" Properties=species:S:1:pos:R:3 comment="Ta2ZnCu2O8 (PBE-GGA, optimized geometry)" final_energy_ev_per_atom=-7.4026 formation_energy_ev_per_atom=-2.229 total_magnetization_mub_per_cell=0.00 pbc="T T T"
Ta 0.506 0.394 4.221
Ta 0.299 3.948 10.353
Ta 2.434 5.108 4.468
Ta 2.228 7.917 10.599
Ta 4.016 0.767 1.664
Ta 3.810 3.575 7.796
Ta 5.945 4.736 1.910
Ta 5.738 8.290 8.042
Zn 0.701 1.419 0.643
Zn 0.495 2.923 6.775
Zn 5.749 5.761 5.488
Zn 5.542 7.265 11.620
Cu 1.305 5.943 7.638
Cu 1.512 7.083 1.506
Cu 2.242 0.511 7.652
Cu 2.449 3.831 1.520
Cu 3.795 4.853 10.743
Cu 4.001 8.173 4.611
Cu 4.732 1.601 10.758
Cu 4.938 2.741 4.626
O 0.084 2.113 4.910
O -0.122 2.229 11.042
O 0.340 0.929 7.519
O 0.547 3.413 1.387
O 0.701 0.381 2.387
O 0.494 3.961 8.519
O 1.062 5.037 5.790
O 0.855 7.989 11.922
O 1.905 5.449 2.652
O 1.699 7.576 8.783
O 1.936 4.480 11.018
O 2.142 8.546 4.886
O 2.698 1.932 1.060
O 2.491 2.410 7.192
O 3.061 5.230 7.829
O 3.268 7.796 1.697
O 2.976 0.888 10.566
O 3.183 3.454 4.435
O 3.753 6.274 5.071
O 3.546 6.752 11.203
O 4.102 0.138 7.377
O 4.308 4.204 1.245
O 4.545 1.107 3.480
O 4.339 3.234 9.612
O 5.389 0.695 0.342
O 5.182 3.647 6.474
O 5.750 4.723 3.745
O 5.543 8.303 9.876
O 5.697 5.271 10.877
O 5.904 7.755 4.745
O 6.366 6.455 1.221
O 6.160 6.571 7.353

---

Record 11
6
Lattice="0.000 3.847 3.847 3.847 0.000 3.847 3.847 3.847 0.000" Properties=species:S:1:pos:R:3 comment="LaCeOs4 (PBE-GGA, optimized geometry)" final_energy_ev_per_atom=-9.4411 formation_energy_ev_per_atom=-0.145 pbc="T T T"
La 0.000 0.000 0.000
Ce 5.770 5.770 5.770
Os 2.887 2.887 2.887
Os 4.807 4.807 2.887
Os 4.807 2.887 4.807
Os 2.887 4.807 4.807

---

Record 12
48
Lattice="8.871 0.000 0.000 0.000 7.493 0.000 -0.333 0.000 11.157" Properties=species:S:1:pos:R:3 comment="KNdSe2O8 (PBE-GGA, optimized geometry)" final_energy_ev_per_atom=-5.9213 formation_energy_ev_per_atom=-2.008 total_magnetization_mub_per_cell=0.00 pbc="T T T"
K 0.481 1.137 3.765
K 0.314 2.609 9.343
K 8.224 4.884 1.814
K 8.057 6.356 7.392
Nd 3.708 4.963 7.277
Nd 3.874 6.276 1.699
Nd 4.664 1.217 9.458
Nd 4.831 2.530 3.879
Se 1.794 4.961 4.585
Se 1.628 6.279 10.163
Se 2.532 1.224 6.760
Se 2.698 2.522 1.182
Se 5.840 4.971 9.975
Se 6.007 6.269 4.396
Se 6.910 1.214 0.993
Se 6.744 2.532 6.572
O 0.644 3.891 4.116
O 0.477 7.349 9.695
O 0.907 1.003 6.760
O 1.073 2.743 1.182
O 1.731 5.597 0.524
O 1.565 5.642 6.102
O 1.882 5.097 8.997
O 2.049 6.143 3.418
O 3.102 1.203 2.187
O 2.935 2.544 7.765
O 3.084 1.367 5.198
O 2.917 2.379 10.776
O 3.292 4.209 4.914
O 3.126 7.031 10.493
O 3.406 0.006 7.577
O 3.572 3.741 1.999
O 4.966 3.753 9.158
O 5.133 7.487 3.579
O 5.412 0.462 0.664
O 5.246 3.284 6.242
O 5.621 5.114 0.380
O 5.454 6.126 5.959
O 5.603 4.949 3.391
O 5.437 6.290 8.970
O 6.489 1.350 7.738
O 6.656 2.396 2.160
O 6.974 1.851 5.055
O 6.807 1.896 10.633
O 7.465 4.750 9.975
O 7.631 6.490 4.397
O 8.061 0.144 1.462
O 7.895 3.602 7.040

---

Record 13
8
Lattice="4.970 0.000 0.000 0.000 4.970 0.000 0.000 0.000 9.906" Properties=species:S:1:pos:R:3 comment="Pm3Hf (PBE-GGA, optimized geometry)" e_above_lowest_polymorph_ev_per_fu=0.02 final_energy_ev_per_atom=-5.8645 formation_energy_ev_per_atom=0.188 total_magnetization_mub_per_cell=0.02 pbc="T T T"
Pm 0.000 0.000 0.000
Pm 0.000 2.485 2.476
Pm 0.000 2.485 7.429
Pm 2.485 0.000 2.476
Pm 2.485 0.000 7.429
Pm 2.485 2.485 4.953
Hf 0.000 0.000 4.953
Hf 2.485 2.485 0.000